No. 1
The following is a GGA+U calculation of MoPO5 after structural relaxation, from the Materials Project database.

POSCAR file:
```
MoPO5
1.0
3.7722 -3.7269 0.0000
3.7722 3.7269 0.0000
-3.5572 0.0000 6.5646
Mo P O
2 2 10
Cartesian
1.9936 1.9617 3.2823
3.7722 -1.9617 0.0000
-0.6420 0.9233 5.1416
1.1366 -0.9233 1.8593
-1.2641 0.0383 4.0327
0.5145 -0.0383 0.7504
0.4272 1.8706 4.5605
3.8340 1.8693 2.4582
-0.0255 0.0206 6.2378
1.7530 -0.0206 2.9555
3.1287 1.3120 5.1067
2.2058 -1.8706 1.2782
2.0554 -1.8693 5.7405
4.9072 -1.3120 1.8244
```

Properties
The value obtained for the offset from the most stable computed form is 3 meV/atom. The space group is Cc, No. 9. For the energy, the calculation gives -7.2621 eV/atom. As for the formation energy: -2.353 eV/atom.

---

No. 2
The following is a GGA+U calculation of Na3Fe2Ge3O12 after structural relaxation, from the Materials Project database.

POSCAR file:
```
Na3Fe2Ge3O12
1.0
-6.2021 6.2021 6.2021
6.2021 -6.2021 6.2021
6.2021 6.2021 -6.2021
Na Fe Ge O
12 8 12 48
Cartesian
3.1011 1.5505 0.0000
6.2021 3.1011 -1.5505
1.5505 0.0000 3.1011
7.7526 0.0000 3.1011
0.0000 3.1011 1.5505
3.1011 -1.5505 6.2021
3.1011 7.7526 0.0000
6.2021 3.1011 4.6516
-1.5505 6.2021 3.1011
4.6516 6.2021 3.1011
0.0000 3.1011 7.7526
3.1011 4.6516 6.2021
0.0000 0.0000 0.0000
3.1011 3.1011 -3.1011
3.1011 -3.1011 3.1011
6.2021 0.0000 0.0000
-3.1011 3.1011 3.1011
0.0000 6.2021 0.0000
0.0000 0.0000 6.2021
3.1011 3.1011 3.1011
9.3032 1.5505 0.0000
6.2021 -3.1011 4.6516
4.6516 6.2021 -3.1011
4.6516 0.0000 3.1011
3.1011 4.6516 0.0000
6.2021 3.1011 1.5505
0.0000 3.1011 4.6516
3.1011 1.5505 6.2021
1.5505 6.2021 3.1011
1.5505 0.0000 9.3032
0.0000 9.3032 1.5505
-3.1011 4.6516 6.2021
1.8464 -0.4251 0.5794
7.4568 3.6804 -3.5261
8.0485 0.4251 0.5794
7.4568 -2.5217 3.5261
5.7770 -0.5794 1.8464
9.7283 -1.2547 2.5217
0.5794 1.8464 -0.4251
8.7238 2.6760 -1.2547
3.6804 3.5261 -1.2547
5.6227 1.8464 0.4251
-0.4251 0.5794 1.8464
3.5261 -1.2547 3.6804
5.7770 5.6227 -1.8464
3.5261 1.2547 2.5217
3.6804 -3.5261 7.4568
5.6227 -1.8464 5.7770
2.5217 3.5261 1.2547
6.7815 4.3557 0.4251
3.5261 7.4568 -2.5217
5.7770 0.5794 4.3557
1.8464 5.7770 -0.5794
7.4568 2.5217 2.6760
1.2547 2.5217 3.5261
1.8464 0.4251 5.6227
4.3557 5.7770 0.5794
4.9475 3.6804 2.6760
-1.2547 3.6804 3.5261
4.3557 0.4251 6.7815
0.4251 5.6227 1.8464
2.6760 -1.2547 8.7238
-0.5794 1.8464 5.7770
3.6804 2.6760 4.9475
0.5794 8.0485 0.4251
2.5217 9.7283 -1.2547
2.6760 4.9475 3.6804
0.4251 0.5794 8.0485
2.6760 7.4568 2.5217
6.6272 5.6227 4.3557
0.5794 4.3557 5.7770
2.5217 2.6760 7.4568
-2.5217 3.5261 7.4568
5.6227 4.3557 6.6272
-3.5261 7.4568 3.6804
0.4251 6.7815 4.3557
-1.2547 8.7238 2.6760
-1.8464 5.7770 5.6227
-1.2547 2.5217 9.7283
4.3557 6.6272 5.6227
```

Properties
The space group is Ia-3d, No. 230. For the energy, the calculation gives -5.8605 eV/atom. As for the formation energy: -1.791 eV/atom.

---

No. 3
The following is a GGA+U calculation of Li3V3P8O29 after structural relaxation, from the Materials Project database.

POSCAR file:
```
Li3V3P8O29
1.0
9.7283 0.0000 0.0000
4.8161 8.4662 0.0000
0.0743 0.1498 14.2468
Li V P O
6 6 16 58
Cartesian
0.0000 0.0000 0.0000
2.3402 3.7590 13.5873
7.7659 3.6546 6.9786
6.5655 0.9121 0.8855
7.1252 0.8394 7.6532
11.2646 6.5587 8.6305
1.6207 0.9132 11.3063
4.3365 5.6037 4.2994
2.8395 0.8113 4.3952
5.0046 4.5563 11.4166
9.8180 5.7292 11.5279
9.1947 4.5277 4.1955
2.2215 3.7844 9.7545
2.2275 3.6125 2.6558
7.0332 6.6000 13.1202
7.0710 6.4391 5.9923
4.5326 1.6408 12.7388
5.1905 2.7079 5.5917
6.3729 3.4048 2.9534
4.5950 0.1955 10.1155
10.0020 7.4817 3.0340
7.8039 3.5547 10.1190
11.2603 6.6469 5.5994
9.0529 2.7567 12.7039
9.5900 1.5720 5.5919
12.6310 6.7507 12.7659
13.8145 7.4478 10.1258
9.6971 0.0862 3.0140
2.2075 3.8174 8.2759
1.5140 2.5010 10.3846
2.1999 3.5797 1.1669
2.9332 4.8576 3.2549
0.3129 0.1492 10.2328
4.2835 7.0863 3.1741
3.5670 5.3534 12.6060
1.4118 1.4838 5.4852
4.8394 6.1134 10.3169
1.4956 0.0906 3.2756
3.6409 3.7469 10.4258
2.8793 2.3672 3.3116
6.3729 7.8670 12.4722
5.6534 6.4330 5.2993
2.9841 1.7066 12.5350
4.4648 4.0673 5.4477
5.5662 4.7167 3.1365
3.0314 0.2250 10.3201
4.9954 3.1386 12.6008
4.1215 1.5817 5.5417
6.9164 6.4767 0.3483
6.2999 5.3866 12.4428
7.7684 7.7137 5.3880
7.0418 6.3981 7.4747
4.1054 0.1180 3.1940
6.2724 3.8025 10.3154
5.0532 1.0082 13.9563
6.0546 2.5000 4.2467
5.1570 0.9119 11.4390
6.1478 2.6068 1.7406
5.1286 0.8052 8.8854
6.1360 2.5751 6.7406
8.5007 6.5233 12.5108
7.8028 5.1840 5.3958
7.8843 3.7948 3.1445
8.5385 4.8850 10.4253
9.8742 7.1667 10.2555
9.2767 6.0935 3.1741
8.0857 2.9540 8.7937
10.8486 7.6595 1.8403
10.8870 7.6276 4.3887
8.1787 2.6655 13.8818
8.2259 2.5712 11.3128
11.0022 7.3355 6.8986
9.1576 3.0733 5.4919
11.0875 6.4687 12.6769
10.4625 5.3425 5.3763
9.8954 4.0868 12.5484
11.2268 5.0410 10.3713
10.4781 3.6570 3.2249
8.9422 0.9394 6.7652
9.0248 0.9082 4.2175
12.9106 7.6257 11.4424
12.9244 7.5641 8.9424
13.0320 7.5686 13.9330
9.2914 0.6609 1.7080
12.7706 6.3261 5.4359
10.0990 1.5855 12.6479
```

Properties
The value obtained for the offset from the most stable computed form is 12 meV/atom. The space group is P1, No. 1. For the energy, the calculation gives -7.0501 eV/atom. As for the formation energy: -2.521 eV/atom.

---

No. 4
The following is a GGA+U calculation of Li2CrSi4O10 after structural relaxation, from the Materials Project database.

POSCAR file:
```
Li2CrSi4O10
1.0
11.1565 0.0000 0.0000
0.0000 7.7191 0.0000
-4.0848 0.0000 10.4505
Li Cr Si O
8 4 16 40
Cartesian
-0.1460 1.9298 1.0754
-0.6232 1.9298 4.1183
0.4931 1.9298 9.0724
2.3733 1.9298 4.8038
4.6983 5.7893 5.6467
6.5785 5.7893 1.3781
7.6949 5.7893 6.3322
7.2177 5.7893 9.3750
1.2129 0.1315 2.9205
1.2129 3.7280 2.9205
5.8587 3.9910 7.5300
5.8587 7.5876 7.5300
-2.0240 0.3759 7.7480
-2.0240 3.4836 7.7480
2.6573 4.2463 0.1073
2.6573 7.3323 0.1073
0.4997 4.2142 6.1603
0.4997 7.3644 6.1603
4.3309 0.4035 2.3464
4.3309 3.4560 2.3464
2.7408 4.2630 8.1041
2.7408 7.3156 8.1041
6.5719 0.3546 4.2902
6.5719 3.5049 4.2902
4.4144 0.3868 10.3432
4.4144 3.4727 10.3432
9.0957 4.2354 2.7025
9.0957 7.3432 2.7025
-0.7392 0.5076 2.5482
-0.7392 3.3519 2.5482
-2.3391 1.9298 7.3262
-1.0914 4.1361 6.5655
-1.0914 7.4425 6.5655
1.4723 0.2875 0.9388
1.4723 3.5720 0.9388
-1.8224 5.7893 10.1016
-1.1064 0.4418 9.1455
-1.1064 3.4177 9.1455
0.8060 0.5423 4.8686
0.8060 3.3172 4.8686
0.8993 5.7893 5.9141
1.3345 0.2301 7.4823
1.3345 3.6295 7.4823
4.0879 4.3045 0.9408
4.0879 7.2741 0.9408
3.1419 0.3109 3.4173
3.1419 3.5486 3.4173
4.6510 1.9298 1.8264
2.4207 5.7893 8.6241
3.9297 4.1705 7.0332
3.9297 7.4081 7.0332
2.9837 0.4450 9.5097
2.9837 3.4146 9.5097
5.7371 4.0896 2.9682
5.7371 7.4890 2.9682
6.1724 1.9298 4.5364
6.2657 4.4019 5.5819
6.2657 7.1767 5.5819
8.1781 4.3013 1.3050
8.1781 7.2773 1.3050
8.8941 1.9298 0.3489
5.5994 4.1470 9.5117
5.5994 7.4316 9.5117
8.1631 0.2766 3.8850
8.1631 3.5830 3.8850
9.4107 5.7893 3.1243
7.8109 4.3671 7.9023
7.8109 7.2115 7.9023
```

Properties
The value obtained for the offset from the most stable computed form is 18 meV/atom. The space group is P2_1/m, No. 11. For the energy, the calculation gives -7.3754 eV/atom. As for the formation energy: -2.918 eV/atom.

---

No. 5
The following is a GGA+U calculation of Li3Cr2Fe2O8 after structural relaxation, from the Materials Project database.

POSCAR file:
```
Li3Cr2Fe2O8
1.0
5.1520 -2.9818 0.0000
5.1520 2.9818 0.0000
-3.4115 0.0000 4.8717
Li Cr Fe O
3 2 2 8
Cartesian
0.0000 0.0000 0.0000
0.8702 1.4909 2.4358
0.8702 -1.4909 2.4358
5.1520 0.0000 0.0000
3.4462 0.0000 2.4358
2.5760 1.4909 0.0000
2.5760 -1.4909 0.0000
1.8371 0.0000 1.1778
4.2844 1.3274 1.1298
0.1185 0.0000 3.8144
2.6081 1.3274 3.7419
4.2844 -1.3274 1.1298
6.7740 0.0000 1.0572
2.6081 -1.3274 3.7419
5.0554 0.0000 3.6938
```

Properties
The space group is C2/m, No. 12. For the energy, the calculation gives -6.5656 eV/atom. As for the formation energy: -2.062 eV/atom.

---

No. 6
The following is a GGA+U calculation of MoO3 after structural relaxation, from the Materials Project database.

POSCAR file:
```
MoO3
1.0
7.8395 0.0000 0.0000
0.0000 5.3953 0.0000
-1.2793 0.0000 5.4027
Mo O
4 12
Cartesian
0.0000 1.2031 0.0000
-0.6397 4.1922 2.7013
3.6679 1.3357 0.8834
3.0282 4.0596 3.5848
-0.8034 2.4105 3.6903
-0.1637 2.9848 0.9890
1.8344 0.9458 0.4235
1.1948 4.4495 3.1248
2.6937 2.6472 4.9800
3.3333 2.7482 2.2786
3.8301 0.0370 2.1733
3.1904 5.3583 4.8746
5.5998 2.2224 3.9852
6.2395 3.1729 1.2839
7.0824 0.3433 1.4529
6.4428 5.0520 4.1543
```

Properties
The space group is Pc, No. 7. For the energy, the calculation gives -6.6577 eV/atom. As for the formation energy: -1.157 eV/atom.

---

No. 7
The following is a GGA+U calculation of Na2MgV2Cd2O8 after structural relaxation, from the Materials Project database.

POSCAR file:
```
Na2MgV2Cd2O8
1.0
6.1947 0.0000 0.0000
-2.8923 5.5992 0.0000
-0.3406 -1.4061 6.8072
Na Mg V Cd O
2 1 2 2 8
Cartesian
0.0000 0.0000 0.0000
0.1026 -0.0666 3.5228
0.9595 1.5791 6.4204
0.0208 3.9120 5.0378
4.4657 2.8630 1.1503
3.1661 -0.2348 1.8995
4.0336 1.7036 4.5972
-1.7559 4.5693 1.7368
-0.1323 2.1766 0.7051
-1.6650 4.3731 5.1748
0.0786 2.0336 4.6647
0.7853 3.5636 6.7360
4.0086 -0.6829 3.9878
2.9556 1.4858 6.4833
3.6631 1.8258 2.4483
```

Properties
The value obtained for the offset from the most stable computed form is 0 meV/atom. The space group is P1, No. 1. For the energy, the calculation gives -5.7521 eV/atom. As for the formation energy: -2.089 eV/atom.

---

No. 8
The following is a GGA+U calculation of Li4Mn2C4SO16 after structural relaxation, from the Materials Project database.

POSCAR file:
```
Li4Mn2C4SO16
1.0
0.0000 6.7582 6.9354
6.4843 0.0000 6.9354
6.4843 6.7582 0.0000
Li Mn C S O
8 4 8 2 32
Cartesian
4.8632 1.0042 5.2016
8.6960 5.0686 5.2016
8.1054 4.3833 8.6693
11.9382 8.4477 8.6693
1.0305 5.0686 5.2016
4.8632 9.1331 5.2016
4.2726 8.4477 8.6693
8.1054 12.5122 8.6693
6.4843 3.3791 3.4677
3.2422 6.7582 3.4677
3.2422 3.3791 6.9354
6.4843 6.7582 6.9354
6.1328 3.7198 6.3922
3.5936 3.7198 4.0109
6.1328 6.4175 4.0109
9.3750 7.0989 7.4787
3.5936 6.4175 6.3922
6.8358 7.0989 9.8599
9.3750 9.7965 9.8599
6.8358 9.7965 7.4787
1.6211 1.6895 1.7339
11.3476 11.8268 12.1370
2.5136 0.8029 2.5443
2.5136 2.5762 0.9234
0.7286 0.8029 0.9234
6.1464 2.9285 5.3659
4.5433 3.5789 3.1235
7.0263 5.5192 3.8287
7.0263 4.6181 6.5744
3.5801 2.9285 5.0372
5.1832 6.5584 3.1235
0.7286 2.5762 2.5443
10.2685 7.9972 7.2965
8.4254 6.9580 6.5912
9.3885 6.3076 8.5050
5.1832 3.5789 7.2796
2.7001 4.6181 3.8287
6.1464 7.2088 5.0372
6.8223 6.3076 8.8336
10.2685 8.8983 10.0421
7.7855 9.9375 6.5912
3.5801 7.2088 5.3659
4.5433 6.5584 7.2796
2.7001 5.5192 6.5744
12.2401 10.9402 11.3265
7.7855 6.9580 10.7474
9.3885 10.5879 8.8336
5.9423 8.8983 7.2965
5.9423 7.9972 10.0421
8.4254 9.9375 10.7474
6.8223 10.5879 8.5050
12.2401 12.7134 12.9475
10.4550 10.9402 12.9475
10.4550 12.7134 11.3265
```

Properties
The space group is Fddd, No. 70. For the energy, the calculation gives -6.8848 eV/atom. As for the formation energy: -2.001 eV/atom.

---

- The highest energy belongs to which entry?
  Na2MgV2Cd2O8

---

- What is the formula in the third record?
  Li3V3P8O29

---

- Which of these has the highest formation energy?
  MoO3